(1)
Below is an optimized crystal structure of Al4Ni3O12, with properties calculated at the PBE+U level.

- Relative energy among the computed polymorphs: 0.006 eV per atom
- Symmetry: C2/m, No. 12

a = 5.675 Å, b = 5.675 Å, c = 13.973 Å
α = 88.73°, β = 88.73°, γ = 60.88°
Atoms (fractional coordinates):
O 0.502 0.502 0.240
O 0.435 0.045 0.762
O 0.826 0.826 0.076
O 0.824 0.339 0.091
O 0.174 0.174 0.924
Ni 0.000 0.500 0.500
O 0.985 0.985 0.238
O 0.331 0.331 0.591
O 0.662 0.662 0.905
O 0.338 0.338 0.095
Al 0.840 0.840 0.335
O 0.185 0.185 0.436
Al 0.166 0.166 0.055
Ni 0.673 0.159 0.162
Al 0.834 0.834 0.945
O 0.851 0.347 0.593
Ni 0.159 0.673 0.162
O 0.815 0.815 0.564
O 0.347 0.851 0.593
Al 0.495 0.495 0.370
O 0.176 0.661 0.909
O 0.498 0.498 0.760
O 0.149 0.653 0.407
O 0.565 0.955 0.238
Al 0.341 0.341 0.846
Ni 0.500 0.000 0.500
Ni 0.327 0.841 0.838
O 0.015 0.015 0.762
Al 0.505 0.505 0.630
O 0.669 0.669 0.409
Al 0.659 0.659 0.154
O 0.661 0.176 0.909
O 0.653 0.149 0.407
O 0.955 0.565 0.238
Al 0.160 0.160 0.665
O 0.339 0.824 0.091
Ni 0.841 0.327 0.838
O 0.045 0.435 0.762

***

(2)
Below is an optimized crystal structure of Gd2W2O9, with properties calculated at the PBE+U level.

- Relative energy among the computed polymorphs: 0.058 eV per atom
- Symmetry: Pbcn, No. 60

a = 5.404 Å, b = 5.508 Å, c = 23.837 Å
α = 90.00°, β = 90.00°, γ = 90.00°
Atoms (fractional coordinates):
W 0.249 0.325 0.422
O 0.835 0.750 0.500
O 0.643 0.724 0.651
O 0.505 0.883 0.758
O 0.952 0.571 0.061
W 0.749 0.175 0.922
W 0.751 0.825 0.422
Gd 0.273 0.878 0.299
Gd 0.227 0.122 0.799
O 0.505 0.617 0.242
O 0.452 0.571 0.439
O 0.538 0.511 0.904
O 0.462 0.011 0.904
Gd 0.273 0.622 0.701
O 0.962 0.489 0.404
O 0.952 0.929 0.939
O 0.038 0.511 0.596
O 0.005 0.617 0.258
Gd 0.727 0.122 0.701
Gd 0.727 0.378 0.299
O 0.495 0.117 0.242
O 0.665 0.250 0.000
O 0.143 0.776 0.151
O 0.452 0.929 0.561
Gd 0.773 0.622 0.799
W 0.251 0.825 0.078
W 0.251 0.675 0.922
W 0.751 0.675 0.578
O 0.538 0.989 0.096
O 0.165 0.250 0.500
O 0.357 0.276 0.349
O 0.495 0.383 0.758
O 0.048 0.429 0.939
O 0.548 0.071 0.439
O 0.643 0.776 0.349
O 0.995 0.117 0.258
O 0.962 0.011 0.596
W 0.749 0.325 0.078
O 0.005 0.883 0.742
O 0.857 0.224 0.849
O 0.548 0.429 0.561
O 0.048 0.071 0.061
O 0.995 0.383 0.742
W 0.249 0.175 0.578
Gd 0.773 0.878 0.201
O 0.462 0.489 0.096
O 0.357 0.224 0.651
O 0.038 0.989 0.404
O 0.335 0.750 0.000
O 0.857 0.276 0.151
Gd 0.227 0.378 0.201
O 0.143 0.724 0.849

***

(3)
Below is an optimized crystal structure of BaCaNi4O8, with properties calculated at the PBE+U level.

- Symmetry: P-31m, No. 162

a = 5.347 Å, b = 5.347 Å, c = 7.888 Å
α = 90.00°, β = 90.00°, γ = 120.00°
Atoms (fractional coordinates):
Ba 0.000 0.000 0.000
O 0.335 0.335 0.696
Ni 0.333 0.667 0.234
O 0.000 0.335 0.304
Ni 0.667 0.333 0.234
Ca 0.000 0.000 0.500
O 0.667 0.333 0.000
O 0.665 0.000 0.696
Ni 0.667 0.333 0.766
O 0.333 0.667 0.000
O 0.665 0.665 0.304
O 0.335 0.000 0.304
O 0.000 0.665 0.696
Ni 0.333 0.667 0.766

***

(4)
Below is an optimized crystal structure of MgMn6O8F4, with properties calculated at the PBE+U level.

- Relative energy among the computed polymorphs: 0.097 eV per atom
- Symmetry: P1, No. 1

a = 11.261 Å, b = 6.895 Å, c = 3.005 Å
α = 89.76°, β = 89.57°, γ = 109.53°
Atoms (fractional coordinates):
Mn 0.376 0.689 0.014
Mn 0.662 0.833 0.503
O 0.653 0.645 0.005
Mn 0.995 0.984 0.001
O 0.250 0.572 0.518
O 0.994 0.324 0.012
Mn 0.336 0.143 0.519
O 0.994 0.693 0.007
O 0.678 0.024 0.002
F 0.771 0.398 0.504
O 0.524 0.235 0.512
F 0.854 0.917 0.496
F 0.358 0.358 0.017
O 0.485 0.781 0.509
Mn 0.641 0.312 0.007
Mg 0.174 0.354 0.024
Mn 0.979 0.506 0.511
O 0.144 0.126 0.527
F 0.308 0.939 0.021

***

Formation energy from the elements values (in kJ per mole of atoms) by entry order: -196 -276 -147 -214.
Total DFT energy (no corrections) values (in eV per atom) by entry order: -6.0227 -9.2836 -5.1664 -6.7674.
Density values (in g/cm³) by entry order: 4.02 7.73 4.59 4.21.